Entry 1:
Ta3SiNi8 | PBE-GGA | relaxed Values from VASP.

The structure in Quantum ESPRESSO input format:
```
&SYSTEM
  ibrav = 0, nat = 12, ntyp = 3
/
ATOMIC_SPECIES
Ta 180.95 Ta.upf
Si 28.09 Si.upf
Ni 58.69 Ni.upf
ATOMIC_POSITIONS crystal
Ta 0.667 0.333 0.448
Ta 0.667 0.333 0.066
Ta 0.000 0.000 0.916
Si 0.000 0.000 0.537
Ni 0.333 0.667 0.505
Ni 0.333 0.667 0.006
Ni 0.503 0.005 0.755
Ni 0.503 0.497 0.755
Ni 0.995 0.497 0.755
Ni 0.163 0.326 0.253
Ni 0.163 0.837 0.253
Ni 0.674 0.837 0.253
CELL_PARAMETERS angstrom
2.384 -4.128 0.000
2.384 4.128 0.000
0.000 0.000 7.677
```

Properties
Energy relative to the elements in eV per atom: -0.22
Magnetic moment in μB/f.u.: 0.676

Entry 2:
AlSi3W2 | PBE-GGA | relaxed Values from VASP.

The structure in Quantum ESPRESSO input format:
```
&SYSTEM
  ibrav = 0, nat = 6, ntyp = 3
/
ATOMIC_SPECIES
Al 26.98 Al.upf
Si 28.09 Si.upf
W 183.84 W.upf
ATOMIC_POSITIONS crystal
Al 0.500 0.500 0.169
Si 0.000 0.000 0.667
Si 0.000 0.000 0.336
Si 0.500 0.500 0.836
W 0.000 0.000 0.989
W 0.500 0.500 0.504
CELL_PARAMETERS angstrom
-0.138 2.490 2.060
1.142 -1.891 2.362
7.561 2.072 -1.998
```

Properties
Energy relative to the elements in eV per atom: -0.30

Entry 3:
SiAg3 | PBE-GGA | relaxed Values from VASP.

The structure in Quantum ESPRESSO input format:
```
&SYSTEM
  ibrav = 0, nat = 8, ntyp = 2
/
ATOMIC_SPECIES
Si 28.09 Si.upf
Ag 107.87 Ag.upf
ATOMIC_POSITIONS crystal
Si 0.333 0.667 0.750
Si 0.667 0.333 0.250
Ag 0.171 0.342 0.250
Ag 0.658 0.829 0.250
Ag 0.171 0.829 0.250
Ag 0.829 0.658 0.750
Ag 0.342 0.171 0.750
Ag 0.829 0.171 0.750
CELL_PARAMETERS angstrom
2.962 -5.130 0.000
2.962 5.130 0.000
0.000 0.000 4.569
```

Properties
Energy relative to the elements in eV per atom: 0.18
Magnetic moment in μB/f.u.: 0.000

Entry 4:
Cs4PbCl6 | PBE-GGA | relaxed Values from VASP.

The structure in Quantum ESPRESSO input format:
```
&SYSTEM
  ibrav = 0, nat = 22, ntyp = 3
/
ATOMIC_SPECIES
Cs 132.91 Cs.upf
Pb 207.20 Pb.upf
Cl 35.45 Cl.upf
ATOMIC_POSITIONS crystal
Cs 0.250 0.250 0.250
Cs 0.750 0.750 0.750
Cs 0.878 0.622 0.250
Cs 0.250 0.878 0.622
Cs 0.622 0.250 0.878
Cs 0.750 0.122 0.378
Cs 0.378 0.750 0.122
Cs 0.122 0.378 0.750
Pb 0.500 0.500 0.500
Pb 0.000 0.000 0.000
Cl 0.211 0.559 0.426
Cl 0.426 0.211 0.559
Cl 0.559 0.426 0.211
Cl 0.926 0.059 0.711
Cl 0.711 0.926 0.059
Cl 0.059 0.711 0.926
Cl 0.789 0.441 0.574
Cl 0.574 0.789 0.441
Cl 0.441 0.574 0.789
Cl 0.074 0.941 0.289
Cl 0.289 0.074 0.941
Cl 0.941 0.289 0.074
CELL_PARAMETERS angstrom
6.835 -6.750 0.000
6.835 6.750 0.000
0.168 0.000 9.605
```

Properties
Energy relative to the elements in eV per atom: -2.10

Entry 5:
NaAlS2O14 | PBE-GGA | relaxed Values from VASP.

The structure in Quantum ESPRESSO input format:
```
&SYSTEM
  ibrav = 0, nat = 72, ntyp = 4
/
ATOMIC_SPECIES
Na 22.99 Na.upf
Al 26.98 Al.upf
S 32.06 S.upf
O 16.00 O.upf
ATOMIC_POSITIONS crystal
Na 0.197 0.118 0.447
Na 0.803 0.382 0.947
Na 0.803 0.882 0.553
Na 0.197 0.618 0.053
Al 0.679 0.642 0.355
Al 0.321 0.858 0.855
Al 0.321 0.358 0.645
Al 0.679 0.142 0.145
S 0.210 0.143 0.317
S 0.790 0.357 0.817
S 0.790 0.857 0.683
S 0.210 0.643 0.183
S 0.745 0.204 0.479
S 0.255 0.296 0.979
S 0.255 0.796 0.521
S 0.745 0.704 0.021
O 0.047 0.060 0.280
O 0.953 0.440 0.780
O 0.953 0.940 0.720
O 0.047 0.560 0.220
O 0.142 0.315 0.337
O 0.858 0.185 0.837
O 0.858 0.685 0.663
O 0.142 0.815 0.163
O 0.234 0.015 0.360
O 0.766 0.485 0.860
O 0.766 0.985 0.640
O 0.234 0.515 0.140
O 0.416 0.182 0.288
O 0.584 0.318 0.788
O 0.584 0.818 0.712
O 0.416 0.682 0.212
O 0.257 0.788 0.463
O 0.743 0.712 0.963
O 0.743 0.212 0.537
O 0.257 0.288 0.037
O 0.540 0.255 0.458
O 0.460 0.245 0.958
O 0.460 0.745 0.542
O 0.540 0.755 0.042
O 0.796 0.023 0.463
O 0.204 0.477 0.963
O 0.204 0.977 0.537
O 0.796 0.523 0.037
O 0.929 0.336 0.465
O 0.071 0.164 0.965
O 0.071 0.664 0.535
O 0.929 0.836 0.035
O 0.431 0.623 0.316
O 0.569 0.877 0.816
O 0.569 0.377 0.684
O 0.431 0.123 0.184
O 0.503 0.565 0.410
O 0.497 0.935 0.910
O 0.497 0.435 0.590
O 0.503 0.065 0.090
O 0.639 0.875 0.373
O 0.361 0.625 0.873
O 0.361 0.125 0.627
O 0.639 0.375 0.127
O 0.727 0.411 0.337
O 0.273 0.089 0.837
O 0.273 0.589 0.663
O 0.727 0.911 0.163
O 0.840 0.735 0.300
O 0.160 0.765 0.800
O 0.160 0.265 0.700
O 0.840 0.235 0.200
O 0.916 0.638 0.397
O 0.084 0.862 0.897
O 0.084 0.362 0.603
O 0.916 0.138 0.103
CELL_PARAMETERS angstrom
4.139 -1.130 4.512
-4.559 -5.694 1.892
13.011 -15.690 -15.865
```

Properties
Energy relative to the elements in eV per atom: -0.88
Magnetic moment in μB/f.u.: 12.000

Entry 6:
Pt3Cl3F | PBE-GGA | relaxed Values from VASP.

The structure in Quantum ESPRESSO input format:
```
&SYSTEM
  ibrav = 0, nat = 7, ntyp = 3
/
ATOMIC_SPECIES
Pt 195.08 Pt.upf
Cl 35.45 Cl.upf
F 19.00 F.upf
ATOMIC_POSITIONS crystal
Pt 0.500 0.000 0.000
Pt 0.000 0.500 0.000
Pt 0.000 0.000 0.500
Cl 0.500 0.000 0.500
Cl 0.500 0.500 0.000
Cl 0.000 0.500 0.500
F 0.000 0.000 0.000
CELL_PARAMETERS angstrom
5.023 0.000 0.000
0.000 5.023 0.000
0.000 0.000 5.023
```

Properties
Energy relative to the elements in eV per atom: 0.13
Magnetic moment in μB/f.u.: 0.000

Entry 7:
CaGa6Te10 | PBE-GGA | relaxed Values from VASP.

The structure in Quantum ESPRESSO input format:
```
&SYSTEM
  ibrav = 0, nat = 34, ntyp = 3
/
ATOMIC_SPECIES
Ca 40.08 Ca.upf
Ga 69.72 Ga.upf
Te 127.60 Te.upf
ATOMIC_POSITIONS crystal
Ca 0.996 0.742 0.745
Ca 0.258 0.004 0.255
Ga 0.909 0.998 0.169
Ga 0.824 0.617 0.161
Ga 0.684 0.904 0.877
Ga 0.596 0.914 0.253
Ga 0.510 0.575 0.337
Ga 0.425 0.490 0.663
Ga 0.418 0.871 0.574
Ga 0.383 0.176 0.839
Ga 0.129 0.582 0.426
Ga 0.096 0.316 0.123
Ga 0.086 0.404 0.747
Ga 0.002 0.091 0.831
Te 0.936 0.498 0.566
Te 0.926 0.317 0.931
Te 0.824 0.814 0.327
Te 0.824 0.993 0.684
Te 0.755 0.663 0.918
Te 0.693 0.428 0.253
Te 0.683 0.074 0.069
Te 0.581 0.674 0.569
Te 0.572 0.307 0.747
Te 0.502 0.064 0.434
Te 0.428 0.919 0.829
Te 0.428 0.750 0.169
Te 0.337 0.245 0.082
Te 0.326 0.419 0.431
Te 0.250 0.572 0.831
Te 0.186 0.176 0.673
Te 0.174 0.826 0.500
Te 0.083 0.917 0.000
Te 0.081 0.572 0.171
Te 0.007 0.176 0.316
CELL_PARAMETERS angstrom
7.350 7.457 0.000
-7.350 7.457 0.000
0.000 0.013 10.426
```

Properties
Energy relative to the elements in eV per atom: -0.73

Entry 8:
LiAl3 | PBE-GGA | relaxed Values from VASP.

The structure in Quantum ESPRESSO input format:
```
&SYSTEM
  ibrav = 0, nat = 4, ntyp = 2
/
ATOMIC_SPECIES
Li 6.94 Li.upf
Al 26.98 Al.upf
ATOMIC_POSITIONS crystal
Li 0.000 0.000 0.000
Al 0.750 0.250 0.500
Al 0.250 0.750 0.500
Al 0.500 0.500 0.000
CELL_PARAMETERS angstrom
2.563 -4.235 -0.500
3.152 -0.612 3.801
-4.861 1.041 -0.212
```

Properties
Energy relative to the elements in eV per atom: -0.08

Entry 9:
Cs | PBE-GGA | relaxed Values from VASP.

The structure in Quantum ESPRESSO input format:
```
&SYSTEM
  ibrav = 0, nat = 4, ntyp = 1
/
ATOMIC_SPECIES
Cs 132.91 Cs.upf
ATOMIC_POSITIONS crystal
Cs 0.732 0.750 0.391
Cs 0.268 0.250 0.609
Cs 0.732 0.250 0.109
Cs 0.268 0.750 0.891
CELL_PARAMETERS angstrom
-3.299 -4.178 0.575
1.210 -2.109 -8.386
7.771 -5.782 2.575
```

Properties
Energy relative to the elements in eV per atom: 0.05

Entry 10:
Mg16Al12Ir | PBE-GGA | relaxed Values from VASP.

The structure in Quantum ESPRESSO input format:
```
&SYSTEM
  ibrav = 0, nat = 29, ntyp = 3
/
ATOMIC_SPECIES
Mg 24.30 Mg.upf
Al 26.98 Al.upf
Ir 192.22 Ir.upf
ATOMIC_POSITIONS crystal
Mg 0.984 0.000 0.000
Mg 0.318 0.589 0.000
Mg 0.003 0.356 0.000
Mg 0.563 0.248 0.000
Mg 0.563 0.000 0.248
Mg 0.681 0.671 0.273
Mg 0.010 0.602 0.329
Mg 0.003 0.000 0.356
Mg 0.409 0.727 0.398
Mg 0.729 0.411 0.411
Mg 0.318 0.000 0.589
Mg 0.010 0.329 0.602
Mg 0.647 0.644 0.644
Mg 0.681 0.273 0.671
Mg 0.409 0.398 0.727
Mg 0.315 0.752 0.752
Al 0.654 0.808 0.000
Al 0.812 0.607 0.000
Al 0.183 0.818 0.178
Al 0.365 0.360 0.182
Al 0.846 0.192 0.192
Al 0.365 0.182 0.360
Al 0.204 0.393 0.393
Al 0.812 0.000 0.607
Al 0.005 0.822 0.640
Al 0.654 0.000 0.808
Al 0.183 0.178 0.818
Al 0.005 0.640 0.822
Ir 0.265 0.000 0.000
CELL_PARAMETERS angstrom
3.234 8.415 2.217
-4.143 -3.683 7.062
6.760 -5.353 -2.499
```

Properties
Energy relative to the elements in eV per atom: -0.06
Magnetic moment in μB/f.u.: 0.001

Entry 11:
Ba2YMgNbO6 | PBE-GGA | relaxed Values from VASP.

The structure in Quantum ESPRESSO input format:
```
&SYSTEM
  ibrav = 0, nat = 11, ntyp = 5
/
ATOMIC_SPECIES
Ba 137.33 Ba.upf
Y 88.91 Y.upf
Mg 24.30 Mg.upf
Nb 92.91 Nb.upf
O 16.00 O.upf
ATOMIC_POSITIONS crystal
Ba 0.688 0.812 0.812
Ba 0.312 0.188 0.188
Y 0.000 0.000 0.000
Mg 0.000 0.500 0.500
Nb 0.500 0.500 0.500
O 0.269 0.731 0.731
O 0.239 0.729 0.271
O 0.761 0.271 0.729
O 0.239 0.271 0.729
O 0.731 0.269 0.269
O 0.761 0.729 0.271
CELL_PARAMETERS angstrom
5.449 0.000 3.146
1.699 5.119 3.350
-0.031 0.228 6.345
```

Properties
Energy relative to the elements in eV per atom: -2.80
Magnetic moment in μB/f.u.: 1.289

Entry 12:
Ba2YTlSn2O7 | PBE-GGA | relaxed Values from VASP.

The structure in Quantum ESPRESSO input format:
```
&SYSTEM
  ibrav = 0, nat = 13, ntyp = 5
/
ATOMIC_SPECIES
Ba 137.33 Ba.upf
Y 88.91 Y.upf
Tl 204.38 Tl.upf
Sn 118.71 Sn.upf
O 16.00 O.upf
ATOMIC_POSITIONS crystal
Ba 0.500 0.500 0.188
Ba 0.500 0.500 0.812
Y 0.500 0.500 0.500
Tl 0.000 0.000 0.000
Sn 0.000 0.000 0.369
Sn 0.000 0.000 0.631
O 0.000 0.000 0.212
O 0.000 0.500 0.391
O 0.500 0.000 0.391
O 0.500 0.000 0.609
O 0.500 0.500 0.000
O 0.000 0.500 0.609
O 0.000 0.000 0.788
CELL_PARAMETERS angstrom
4.239 0.000 0.000
0.000 4.239 0.000
0.000 0.000 13.012
```

Properties
Energy relative to the elements in eV per atom: -2.33
Magnetic moment in μB/f.u.: 0.000

Q: Which value of energy relative to the elements does entry 5 give?
A: -0.88 eV per atom